Dy3GeO8: relaxed, PBE-GGA.

Unit cell a=10.343 b=5.422 c=6.088 alpha=75.01 beta=90.00 gamma=90.00
Fractional coordinates of all 24 atoms:
Dy 0.750 0.783 0.688
Dy 0.250 0.217 0.312
Dy 0.956 0.687 0.199
Dy 0.456 0.313 0.801
Dy 0.044 0.313 0.801
Dy 0.544 0.687 0.199
Ge 0.750 0.193 0.016
Ge 0.250 0.807 0.984
O 0.750 0.022 0.315
O 0.250 0.978 0.685
O 0.969 0.699 0.566
O 0.469 0.301 0.434
O 0.031 0.301 0.434
O 0.531 0.699 0.566
O 0.374 0.988 0.108
O 0.874 0.012 0.892
O 0.626 0.012 0.892
O 0.126 0.988 0.108
O 0.369 0.543 0.033
O 0.869 0.457 0.967
O 0.631 0.457 0.967
O 0.131 0.543 0.033
O 0.750 0.596 0.386
O 0.250 0.404 0.614

Computed properties:
* ΔH_f (0 K): -2893 meV/atom
* space group: P2_1/m, No. 11
* energy: -7.270 eV per atom

=====

Dy2Ge2O7: relaxed, PBE-GGA.

Unit cell a=6.820 b=6.845 c=12.423 alpha=94.82 beta=91.97 gamma=91.86
Fractional coordinates of all 44 atoms:
Dy 0.049 0.333 0.112
Dy 0.112 0.091 0.357
Dy 0.314 0.834 0.117
Dy 0.375 0.211 0.632
Dy 0.625 0.789 0.368
Dy 0.686 0.166 0.883
Dy 0.888 0.909 0.643
Dy 0.951 0.667 0.888
Ge 0.139 0.622 0.377
Ge 0.167 0.143 0.885
Ge 0.389 0.724 0.600
Ge 0.515 0.338 0.167
Ge 0.485 0.662 0.833
Ge 0.611 0.276 0.400
Ge 0.833 0.857 0.115
Ge 0.861 0.378 0.623
O 0.002 0.665 0.081
O 0.990 0.977 0.816
O 0.046 0.218 0.576
O 0.065 0.403 0.302
O 0.244 0.095 0.016
O 0.224 0.910 0.627
O 0.286 0.795 0.310
O 0.299 0.559 0.486
O 0.288 0.714 0.916
O 0.368 0.208 0.812
O 0.342 0.496 0.118
O 0.393 0.137 0.221
O 0.403 0.157 0.450
O 0.396 0.544 0.697
O 0.604 0.456 0.303
O 0.597 0.843 0.550
O 0.607 0.863 0.779
O 0.658 0.504 0.882
O 0.632 0.792 0.188
O 0.712 0.286 0.084
O 0.701 0.441 0.514
O 0.714 0.205 0.690
O 0.776 0.090 0.373
O 0.756 0.905 0.984
O 0.935 0.597 0.698
O 0.954 0.782 0.424
O 0.010 0.023 0.184
O 0.998 0.335 0.919

Computed properties:
* ΔH_f (0 K): -3033 meV/atom
* relative energy among the computed polymorphs: 28 meV per atom
* space group: P-1, No. 2
* energy: -7.423 eV per atom

=====

Dy2Ge2O7: relaxed, PBE-GGA.

Unit cell a=7.088 b=7.088 c=7.088 alpha=60.00 beta=60.00 gamma=60.00
Fractional coordinates of all 22 atoms:
Dy 0.625 0.625 0.625
Dy 0.125 0.625 0.625
Dy 0.625 0.125 0.625
Dy 0.625 0.625 0.125
Ge 0.125 0.625 0.125
Ge 0.125 0.125 0.625
Ge 0.625 0.125 0.125
Ge 0.125 0.125 0.125
O 0.750 0.750 0.750
O 0.203 0.797 0.797
O 0.203 0.797 0.203
O 0.797 0.797 0.203
O 0.797 0.203 0.797
O 0.203 0.203 0.797
O 0.453 0.047 0.047
O 0.797 0.203 0.203
O 0.047 0.453 0.047
O 0.047 0.047 0.453
O 0.453 0.453 0.047
O 0.453 0.047 0.453
O 0.047 0.453 0.453
O 0.500 0.500 0.500

Computed properties:
* ΔH_f (0 K): -3049 meV/atom
* relative energy among the computed polymorphs: 12 meV per atom
* space group: Fd-3m, No. 227
* energy: -7.439 eV per atom

=====

Dy2Ge6Pd: relaxed, PBE-GGA.

Unit cell a=5.785 b=5.785 c=21.674 alpha=90.00 beta=90.00 gamma=90.63
Fractional coordinates of all 36 atoms:
Dy 0.376 0.873 0.581
Dy 0.127 0.624 0.419
Dy 0.627 0.124 0.081
Dy 0.876 0.373 0.919
Dy 0.624 0.127 0.419
Dy 0.873 0.376 0.581
Dy 0.373 0.876 0.919
Dy 0.124 0.627 0.081
Ge 0.651 0.097 0.693
Ge 0.903 0.349 0.307
Ge 0.403 0.849 0.193
Ge 0.151 0.597 0.807
Ge 0.349 0.903 0.307
Ge 0.097 0.651 0.693
Ge 0.597 0.151 0.807
Ge 0.849 0.403 0.193
Ge 0.381 0.381 0.957
Ge 0.619 0.619 0.043
Ge 0.119 0.119 0.457
Ge 0.881 0.881 0.543
Ge 0.367 0.367 0.528
Ge 0.633 0.633 0.472
Ge 0.133 0.133 0.028
Ge 0.867 0.867 0.972
Ge 0.152 0.152 0.808
Ge 0.848 0.848 0.192
Ge 0.348 0.348 0.308
Ge 0.652 0.652 0.692
Ge 0.095 0.095 0.693
Ge 0.905 0.905 0.307
Ge 0.405 0.405 0.193
Ge 0.595 0.595 0.807
Pd 0.373 0.373 0.642
Pd 0.627 0.627 0.358
Pd 0.127 0.127 0.142
Pd 0.873 0.873 0.858

Computed properties:
* ΔH_f (0 K): -575 meV/atom
* relative energy among the computed polymorphs: 0 meV per atom
* space group: Cmce, No. 64
* energy: -5.256 eV per atom